First-principles (GGA+U) data for a geometry-optimized Li2NiCSO7 structure, as listed in the Materials Project database.

a = 8.125 Å, b = 8.126 Å, c = 8.710 Å
α = 86.85°, β = 86.85°, γ = 104.22°
Fractional coordinates of all 48 atoms:
1 Li 0.367 0.850 0.192
2 Li 0.867 0.350 0.192
3 Li 0.600 0.617 0.192
4 Li 0.100 0.117 0.192
5 Li 0.633 0.150 0.808
6 Li 0.133 0.650 0.808
7 Li 0.400 0.383 0.808
8 Li 0.900 0.883 0.808
9 Ni 0.264 0.514 0.350
10 Ni 0.736 0.486 0.650
11 Ni 0.764 0.014 0.350
12 Ni 0.236 0.986 0.650
13 C 0.741 0.991 0.068
14 C 0.241 0.491 0.067
15 C 0.259 0.009 0.932
16 C 0.759 0.509 0.932
17 S 0.494 0.244 0.417
18 S 0.994 0.744 0.417
19 S 0.506 0.756 0.583
20 S 0.006 0.256 0.583
21 O 0.272 0.022 0.077
22 O 0.772 0.522 0.077
23 O 0.728 0.978 0.923
24 O 0.228 0.478 0.923
25 O 0.859 0.109 0.123
26 O 0.359 0.609 0.123
27 O 0.141 0.891 0.877
28 O 0.641 0.391 0.877
29 O 0.637 0.887 0.172
30 O 0.137 0.387 0.172
31 O 0.364 0.114 0.828
32 O 0.863 0.613 0.828
33 O 0.455 0.705 0.428
34 O 0.955 0.205 0.428
35 O 0.545 0.295 0.572
36 O 0.045 0.795 0.572
37 O 0.344 0.094 0.438
38 O 0.844 0.594 0.438
39 O 0.656 0.906 0.562
40 O 0.156 0.406 0.562
41 O 0.451 0.386 0.326
42 O 0.951 0.886 0.326
43 O 0.636 0.201 0.326
44 O 0.136 0.701 0.326
45 O 0.364 0.799 0.674
46 O 0.864 0.299 0.674
47 O 0.549 0.614 0.674
48 O 0.049 0.115 0.674

## Properties
Volume, Å³ per atom: 11.57
M_tot, μB/cell: 0.0
Calculated total energy, eV per atom: -6.164
ΔE_f, eV per atom: -1.98
Total energy after the MP2020 corrections, eV per cell: -325.3